This record from Materials Project describes crystalline NpAl4 at its relaxed geometry. The functional is r²SCAN.

Cell: 7.8611 7.8589 7.8612 Å, 147.35 133.28 58.15°
Fractional coordinates of all 10 atoms:
Al  0.2300  0.6990  0.5319
Al  0.3329  0.3020  0.0320
Al  0.0000  0.5000  0.5000
Al  0.5000  0.5000  0.0000
Al  0.7700  0.3010  0.4681
Al  0.6359  0.8859  0.7501
Al  0.6671  0.6980  0.9680
Al  0.3640  0.1141  0.2499
Np  0.8613  0.1113  0.7501
Np  0.1387  0.8887  0.2499

Properties
magnetization: 4.0 μB per formula unit
ΔE_f: -156 kJ/mol of formula units

This record from Materials Project describes crystalline UGa5Co at its relaxed geometry. The functional is r²SCAN.

Cell: 4.2107 4.2107 6.7940 Å, 90.00 90.00 90.00°
Fractional coordinates of all 7 atoms:
Ga  0.5000  0.5000  0.0000
Ga  0.0000  0.5000  0.3121
Ga  0.5000  0.0000  0.3121
Ga  0.0000  0.5000  0.6879
Ga  0.5000  0.0000  0.6879
U  0.0000  0.0000  0.0000
Co  0.0000  0.0000  0.5000

Properties
magnetization: 2.3 μB per formula unit
ΔE_f: -247 kJ/mol of formula units